Material: ErMn2Ge2
Method: DFT, r2SCAN
State: optimized geometry

Cell: 6.1689 6.1689 6.1689 Å, 141.70 141.70 55.29°
Positions (direct):
Er 0.0000 0.0000 0.0000
Mn 0.2500 0.7500 0.5000
Mn 0.7500 0.2500 0.5000
Ge 0.3874 0.3874 0.0000
Ge 0.6126 0.6126 0.0000

Values from the calculation:
Its space group is No. 139. For the magnetic moment, the calculation gives 7.3 μB/cell. Its energy relative to the elements is -599 meV per atom. For the total energy, the calculation gives -94.0 eV for the cell shown.



Material: Er3NiGe2
Method: DFT, r2SCAN
State: optimized geometry

Cell: 11.2115 4.1057 11.1398 Å, 90.00 90.00 90.00°
Positions (direct):
Er 0.0584 0.2500 0.1271
Er 0.1193 0.7500 0.5558
Er 0.2206 0.2500 0.8022
Er 0.2794 0.7500 0.3022
Er 0.3807 0.2500 0.0558
Er 0.4416 0.7500 0.6271
Er 0.5584 0.2500 0.3729
Er 0.6193 0.7500 0.9442
Er 0.7206 0.2500 0.6978
Er 0.7794 0.7500 0.1978
Er 0.8807 0.2500 0.4442
Er 0.9416 0.7500 0.8729
Ni 0.1289 0.2500 0.3663
Ni 0.3711 0.7500 0.8663
Ni 0.6289 0.2500 0.1337
Ni 0.8711 0.7500 0.6337
Ge 0.0171 0.7500 0.3124
Ge 0.1924 0.7500 0.9958
Ge 0.3076 0.2500 0.4958
Ge 0.4829 0.2500 0.8124
Ge 0.5171 0.7500 0.1876
Ge 0.6924 0.7500 0.5042
Ge 0.8076 0.2500 0.0042
Ge 0.9829 0.2500 0.6876

Values from the calculation:
Its space group is No. 62. For the magnetic moment, the calculation gives 3.0 μB/cell. Its energy relative to the elements is -884 meV per atom. For the total energy, the calculation gives -587.2 eV for the cell shown.



Material: Er2GeO5
Method: DFT, r2SCAN
State: optimized geometry

Cell: 7.9170 7.9170 11.1467 Å, 93.57 93.57 88.97°
Positions (direct):
Er 0.1254 0.8450 0.5701
Er 0.1384 0.5002 0.7511
Er 0.1550 0.8746 0.9299
Er 0.2018 0.4952 0.0638
Er 0.4952 0.2018 0.5638
Er 0.5002 0.1384 0.2511
Er 0.4998 0.8616 0.7489
Er 0.5048 0.7982 0.4362
Er 0.7982 0.5048 0.9362
Er 0.8450 0.1254 0.0701
Er 0.8616 0.4998 0.2489
Er 0.8746 0.1550 0.4299
Ge 0.1392 0.8608 0.2500
Ge 0.2296 0.4371 0.4527
Ge 0.4371 0.2296 0.9527
Ge 0.5629 0.7704 0.0473
Ge 0.7704 0.5629 0.5473
Ge 0.8608 0.1392 0.7500
O 0.0289 0.3776 0.3929
O 0.0381 0.9372 0.3809
O 0.0423 0.6247 0.9239
O 0.0628 0.9619 0.1191
O 0.0951 0.6447 0.2187
O 0.2376 0.7624 0.7500
O 0.2697 0.6533 0.4555
O 0.2711 0.3696 0.6018
O 0.3121 0.3870 0.8844
O 0.3467 0.7303 0.0445
O 0.3553 0.9049 0.2813
O 0.3696 0.2711 0.1018
O 0.3753 0.9577 0.5761
O 0.3776 0.0289 0.8929
O 0.3870 0.3121 0.3844
O 0.6130 0.6879 0.6156
O 0.6224 0.9711 0.1071
O 0.6247 0.0423 0.4239
O 0.6304 0.7289 0.8982
O 0.6447 0.0951 0.7187
O 0.6533 0.2697 0.9555
O 0.6879 0.6130 0.1156
O 0.7289 0.6304 0.3982
O 0.7303 0.3467 0.5445
O 0.7624 0.2376 0.2500
O 0.9049 0.3553 0.7813
O 0.9372 0.0381 0.8809
O 0.9577 0.3753 0.0761
O 0.9619 0.0628 0.6191
O 0.9711 0.6224 0.6071

Values from the calculation:
Its space group is No. 15. For the magnetic moment, the calculation gives 0.0 μB/cell. Its energy relative to the elements is -3230 meV per atom. For the total energy, the calculation gives -824.6 eV for the cell shown.



Material: Er4Ge6Os7
Method: DFT, r2SCAN
State: optimized geometry

Cell: 7.1824 7.1824 7.1824 Å, 109.47 109.47 109.47°
Positions (direct):
Er 0.0000 0.0000 0.5000
Er 0.0000 0.5000 0.0000
Er 0.5000 0.0000 0.0000
Er 0.5000 0.5000 0.5000
Ge 0.0000 0.3114 0.3114
Ge 0.0000 0.6886 0.6886
Ge 0.3114 0.0000 0.3114
Ge 0.3114 0.3114 0.0000
Ge 0.6886 0.0000 0.6886
Ge 0.6886 0.6886 0.0000
Os 0.0000 0.0000 0.0000
Os 0.2500 0.5000 0.7500
Os 0.2500 0.7500 0.5000
Os 0.5000 0.2500 0.7500
Os 0.5000 0.7500 0.2500
Os 0.7500 0.2500 0.5000
Os 0.7500 0.5000 0.2500

Values from the calculation:
Its space group is No. 229. For the magnetic moment, the calculation gives 0.0 μB/cell. Its energy relative to the elements is -511 meV per atom. For the total energy, the calculation gives -598.5 eV for the cell shown.



Material: ErGePd2
Method: DFT, r2SCAN
State: optimized geometry

Cell: 7.2885 7.0704 5.5453 Å, 90.00 90.00 90.00°
Positions (direct):
Er 0.0282 0.2500 0.1462
Er 0.4718 0.7500 0.6462
Er 0.5282 0.2500 0.3538
Er 0.9718 0.7500 0.8538
Ge 0.1197 0.7500 0.3561
Ge 0.3803 0.2500 0.8561
Ge 0.6197 0.7500 0.1439
Ge 0.8803 0.2500 0.6439
Pd 0.1836 0.0512 0.5859
Pd 0.1836 0.4488 0.5859
Pd 0.3164 0.5512 0.0859
Pd 0.3164 0.9488 0.0859
Pd 0.6836 0.0512 0.9141
Pd 0.6836 0.4488 0.9141
Pd 0.8164 0.5512 0.4141
Pd 0.8164 0.9488 0.4141

Values from the calculation:
Its space group is No. 62. For the magnetic moment, the calculation gives 0.0 μB/cell. Its energy relative to the elements is -949 meV per atom. For the total energy, the calculation gives -390.1 eV for the cell shown.



Material: ErGe2Rh2
Method: DFT, r2SCAN
State: optimized geometry

Cell: 5.8841 5.8841 5.8841 Å, 139.30 139.30 58.92°
Positions (direct):
Er 0.0000 0.0000 0.0000
Ge 0.3792 0.3792 0.0000
Ge 0.6208 0.6208 0.0000
Rh 0.2500 0.7500 0.5000
Rh 0.7500 0.2500 0.5000

Values from the calculation:
Its space group is No. 139. For the magnetic moment, the calculation gives 0.0 μB/cell. Its energy relative to the elements is -941 meV per atom. For the total energy, the calculation gives -114.6 eV for the cell shown.



Material: Er2Ge2Ru
Method: DFT, r2SCAN
State: optimized geometry

Cell: 5.7182 5.7182 10.0361 Å, 115.92 115.92 43.66°
Positions (direct):
Er 0.9997 0.9997 0.1722
Er 0.0003 0.0003 0.8278
Er 0.1835 0.1835 0.6124
Er 0.8165 0.8165 0.3876
Ge 0.3562 0.3562 0.9356
Ge 0.4861 0.4861 0.6235
Ge 0.5139 0.5139 0.3765
Ge 0.6438 0.6438 0.0644
Ru 0.2701 0.2701 0.1292
Ru 0.7299 0.7299 0.8708

Values from the calculation:
Its space group is No. 12. For the magnetic moment, the calculation gives 0.0 μB/cell. Its energy relative to the elements is -881 meV per atom. For the total energy, the calculation gives -250.9 eV for the cell shown.



Material: ErGeRu
Method: DFT, r2SCAN
State: optimized geometry

Cell: 6.9688 4.3800 7.1591 Å, 90.00 90.00 90.00°
Positions (direct):
Er 0.0145 0.2500 0.1922
Er 0.4855 0.7500 0.6922
Er 0.5145 0.2500 0.3078
Er 0.9855 0.7500 0.8078
Ge 0.2033 0.2500 0.6071
Ge 0.2967 0.7500 0.1071
Ge 0.7033 0.2500 0.8929
Ge 0.7967 0.7500 0.3929
Ru 0.1545 0.7500 0.4371
Ru 0.3455 0.2500 0.9371
Ru 0.6545 0.7500 0.0629
Ru 0.8455 0.2500 0.5629

Values from the calculation:
Its space group is No. 62. For the magnetic moment, the calculation gives 0.0 μB/cell. Its energy relative to the elements is -793 meV per atom. For the total energy, the calculation gives -302.4 eV for the cell shown.